1.
VASP calculation (r²SCAN) on crystalline ThTi2O6 at its relaxed geometry.

abc: 6.9113 6.9113 5.2064
angles: 109.40 109.40 76.90
Closest atoms and distances in Å follow each position.
Sites, in units of the cell vectors:
Th (0.1902, 0.8098, 0.7500)  6 O 2.32-2.47
Th (0.8098, 0.1902, 0.2500)  6 O 2.32-2.47
Ti (0.1873, 0.3509, 0.0606)  6 O 1.87-2.02
Ti (0.3509, 0.1873, 0.5606)  6 O 1.87-2.02
Ti (0.6491, 0.8127, 0.4394)  6 O 1.87-2.02
Ti (0.8127, 0.6491, 0.9394)  6 O 1.87-2.02
O (0.0957, 0.1776, 0.6541)  2 Ti 2.00-2.02
O (0.1172, 0.6020, 0.9679)  2 Ti 1.87-2.02
O (0.1776, 0.0957, 0.1541)  2 Ti 2.00-2.02
O (0.2712, 0.4506, 0.4694)  2 Ti 1.93-1.95
O (0.3980, 0.8828, 0.5321)  2 Ti 1.87-2.02
O (0.4506, 0.2712, 0.9694)  2 Ti 1.93-1.95
O (0.5494, 0.7288, 0.0306)  2 Ti 1.93-1.95
O (0.6020, 0.1172, 0.4679)  2 Ti 1.87-2.02
O (0.7288, 0.5494, 0.5306)  2 Ti 1.93-1.95
O (0.8224, 0.9043, 0.8459)  2 Ti 2.00-2.02
O (0.8828, 0.3980, 0.0321)  2 Ti 1.87-2.02
O (0.9043, 0.8224, 0.3459)  2 Ti 2.00-2.02

Values from the calculation:
VASP energy	-335.50	eV per cell
space group	C2/c

=====

2.
VASP calculation (r²SCAN) on crystalline ThU8O18 at its relaxed geometry.

abc: 6.6699 6.7325 8.6542
angles: 82.54 75.19 80.68
Closest atoms and distances in Å follow each position.
Sites, in units of the cell vectors:
Th (0.0000, 0.0000, 0.0000)  8 O 2.38-2.42
U (0.1119, 0.2256, 0.5524)  8 O 2.29-2.47
U (0.2253, 0.4420, 0.1127)  8 O 2.31-2.46
U (0.3331, 0.6683, 0.6653)  8 O 2.31-2.42
U (0.4448, 0.8857, 0.2248)  8 O 2.31-2.45
U (0.5552, 0.1143, 0.7752)  8 O 2.31-2.45
U (0.6669, 0.3317, 0.3347)  8 O 2.31-2.42
U (0.7747, 0.5580, 0.8873)  8 O 2.31-2.46
U (0.8881, 0.7744, 0.4476)  8 O 2.29-2.47
O (0.0190, 0.5573, 0.6362)  4 U 2.29-2.42
O (0.0812, 0.6652, 0.9073)  3 U 2.33-2.46, 1 Th 2.42
O (0.1488, 0.7726, 0.1877)  3 U 2.34-2.47, 1 Th 2.38
O (0.1961, 0.8820, 0.4684)  4 U 2.33-2.45
O (0.2475, 0.0087, 0.7428)  3 U 2.32-2.41, 1 Th 2.41
O (0.3138, 0.1205, 0.0199)  3 U 2.31-2.45, 1 Th 2.42
O (0.3623, 0.2113, 0.3021)  4 U 2.31-2.40
O (0.4121, 0.3363, 0.5740)  4 U 2.30-2.43
O (0.4761, 0.4566, 0.8526)  4 U 2.31-2.44
O (0.5239, 0.5434, 0.1474)  4 U 2.31-2.44
O (0.5879, 0.6637, 0.4260)  4 U 2.30-2.43
O (0.6377, 0.7887, 0.6979)  4 U 2.31-2.40
O (0.6862, 0.8795, 0.9801)  3 U 2.31-2.45, 1 Th 2.42
O (0.7525, 0.9913, 0.2572)  3 U 2.32-2.41, 1 Th 2.41
O (0.8039, 0.1180, 0.5316)  4 U 2.33-2.45
O (0.8512, 0.2274, 0.8123)  3 U 2.34-2.47, 1 Th 2.38
O (0.9188, 0.3348, 0.0927)  3 U 2.33-2.46, 1 Th 2.42
O (0.9810, 0.4427, 0.3638)  4 U 2.29-2.42

Values from the calculation:
VASP energy	-922.91	eV per cell
space group	P-1

=====

3.
VASP calculation (r²SCAN) on crystalline TiO2 at its relaxed geometry.

abc: 9.7024 3.0027 9.4065
angles: 90.00 90.00 90.00
Closest atoms and distances in Å follow each position.
Sites, in units of the cell vectors:
Ti (0.0243, 0.2500, 0.1515)  3 O 1.80-1.92
Ti (0.2016, 0.2500, 0.6010)  4 O 1.83-2.02
Ti (0.2984, 0.7500, 0.1010)  4 O 1.83-2.02
Ti (0.4757, 0.7500, 0.6515)  3 O 1.80-1.92
Ti (0.5243, 0.2500, 0.3485)  3 O 1.80-1.92
Ti (0.7016, 0.2500, 0.8990)  4 O 1.83-2.02
Ti (0.7984, 0.7500, 0.3990)  4 O 1.83-2.02
Ti (0.9757, 0.7500, 0.8485)  3 O 1.80-1.92
O (0.0608, 0.2500, 0.7554)  3 Ti 1.92-1.99
O (0.1041, 0.7500, 0.0237)  4 Ti 2.02-2.07
O (0.1400, 0.7500, 0.5092)  2 Ti 1.83
O (0.1970, 0.2500, 0.2219)  1 Ti 1.80
O (0.3030, 0.7500, 0.7219)  1 Ti 1.80
O (0.3600, 0.2500, 0.0092)  2 Ti 1.83
O (0.3959, 0.2500, 0.5237)  4 Ti 2.02-2.07
O (0.4392, 0.7500, 0.2554)  3 Ti 1.92-1.99
O (0.5608, 0.2500, 0.7446)  3 Ti 1.92-1.99
O (0.6041, 0.7500, 0.4763)  4 Ti 2.02-2.07
O (0.6400, 0.7500, 0.9908)  2 Ti 1.83
O (0.6970, 0.2500, 0.2781)  1 Ti 1.80
O (0.8030, 0.7500, 0.7781)  1 Ti 1.80
O (0.8600, 0.2500, 0.4908)  2 Ti 1.83
O (0.8959, 0.2500, 0.9763)  4 Ti 2.02-2.07
O (0.9392, 0.7500, 0.2446)  3 Ti 1.92-1.99

Values from the calculation:
VASP energy	-276.40	eV per cell
space group	Pnma

=====

4.
VASP calculation (r²SCAN) on crystalline TiO2 at its relaxed geometry.

abc: 5.5015 5.5015 5.5015
angles: 139.79 139.79 58.18
Closest atoms and distances in Å follow each position.
Sites, in units of the cell vectors:
Ti (0.3750, 0.6250, 0.7500)  6 O 1.94-1.99
Ti (0.6250, 0.3750, 0.2500)  6 O 1.94-1.99
O (0.1678, 0.4178, 0.7500)  3 Ti 1.94-1.99
O (0.4178, 0.1678, 0.2500)  3 Ti 1.94-1.99
O (0.5822, 0.8322, 0.7500)  3 Ti 1.94-1.99
O (0.8322, 0.5822, 0.2500)  3 Ti 1.94-1.99

Values from the calculation:
VASP energy	-69.65	eV per cell
space group	I4_1/amd

=====

5.
VASP calculation (r²SCAN) on crystalline Ti2O at its relaxed geometry.

abc: 4.6496 2.9377 8.2031
angles: 90.00 91.99 90.00
Closest atoms and distances in Å follow each position.
Sites, in units of the cell vectors:
Ti (0.2358, 0.0000, 0.0845)  4 O 2.05
Ti (0.2458, 0.5000, 0.7567)  2 O 2.11-2.28
Ti (0.2468, 0.0000, 0.4278)  2 O 2.03
Ti (0.7532, 0.0000, 0.5722)  2 O 2.03
Ti (0.7542, 0.5000, 0.2433)  2 O 2.11-2.28
Ti (0.7642, 0.0000, 0.9155)  4 O 2.05
O (0.2086, 0.5000, 0.2580)  5 Ti 2.03-2.11
O (0.5000, 0.5000, 0.0000)  6 Ti 2.05-2.28
O (0.7914, 0.5000, 0.7420)  5 Ti 2.03-2.11

Values from the calculation:
space group	P2/m
energy above the lowest structure with this stoichiometry	64.4	meV/atom

=====

6.
VASP calculation (r²SCAN) on crystalline Ti6O at its relaxed geometry.

abc: 5.1048 5.1048 9.4611
angles: 90.00 90.00 120.00
Closest atoms and distances in Å follow each position.
Sites, in units of the cell vectors:
Ti (0.0000, 0.6689, 0.8696)  1 O 2.09
Ti (0.3311, 0.3311, 0.8696)  1 O 2.09
Ti (0.0000, 0.3311, 0.6304)  1 O 2.09
Ti (0.3311, 0.3311, 0.3696)  1 O 2.09
Ti (0.6689, 0.0000, 0.3696)  1 O 2.09
Ti (0.6689, 0.6689, 0.6304)  1 O 2.09
Ti (0.0000, 0.6689, 0.3696)  1 O 2.09
Ti (0.6689, 0.6689, 0.1304)  1 O 2.09
O (0.0000, 0.0000, 0.5000)  6 Ti 2.09
O (0.0000, 0.0000, 0.0000)  6 Ti 2.09
Ti (0.6689, 0.0000, 0.8696)  1 O 2.09
Ti (0.0000, 0.3311, 0.1304)  1 O 2.09
Ti (0.3311, 0.0000, 0.1304)  1 O 2.09
Ti (0.3311, 0.0000, 0.6304)  1 O 2.09

Values from the calculation:
energy above the lowest structure with this stoichiometry	11.6	meV/atom

=====

7.
VASP calculation (r²SCAN) on crystalline Ti2O3 at its relaxed geometry.

abc: 5.4574 5.4574 5.4574
angles: 55.79 55.79 55.79
Closest atoms and distances in Å follow each position.
Sites, in units of the cell vectors:
Ti (0.1555, 0.1555, 0.1555)  6 O 2.01-2.07
Ti (0.3445, 0.3445, 0.3445)  6 O 2.01-2.07
Ti (0.6555, 0.6555, 0.6555)  6 O 2.01-2.07
Ti (0.8445, 0.8445, 0.8445)  6 O 2.01-2.07
O (0.0644, 0.7500, 0.4356)  4 Ti 2.01-2.07
O (0.2500, 0.5644, 0.9356)  4 Ti 2.01-2.07
O (0.4356, 0.0644, 0.7500)  4 Ti 2.01-2.07
O (0.5644, 0.9356, 0.2500)  4 Ti 2.01-2.07
O (0.7500, 0.4356, 0.0644)  4 Ti 2.01-2.07
O (0.9356, 0.2500, 0.5644)  4 Ti 2.01-2.07

Values from the calculation:
VASP energy	-119.14	eV per cell
space group	R-3c

=====

8.
VASP calculation (r²SCAN) on crystalline Ti4O3 at its relaxed geometry.

abc: 5.0963 5.0963 5.0963
angles: 130.48 130.48 72.64
Closest atoms and distances in Å follow each position.
Sites, in units of the cell vectors:
Ti (0.0000, 0.5000, 0.5000)  4 O 2.05-2.13
Ti (0.2274, 0.2274, 0.0000)  5 O 2.14-2.24
Ti (0.5000, 0.0000, 0.5000)  4 O 2.05-2.13
Ti (0.7726, 0.7726, 0.0000)  5 O 2.14-2.24
O (0.2500, 0.7500, 0.5000)  6 Ti 2.05-2.14
O (0.5000, 0.5000, 0.0000)  6 Ti 2.13-2.24
O (0.7500, 0.2500, 0.5000)  6 Ti 2.05-2.14

Values from the calculation:
VASP energy	-85.90	eV per cell
space group	I4/mmm